Computed, not measured: crystalline Li2VCrP2H2O10 at its relaxed geometry at the PBE+U level of DFT.

## Properties
Its energy with MP2020 corrections is -7.442 eV per atom. The energy above the most stable polymorph in this dataset is 0.6 kJ per mole of atoms. The total energy is -0.50383 Ry per atom. For the formation energy, the calculation gives -44.31 eV/f.u. The value obtained for the size of the total moment is 10.00 μB/cell.

a b c (Å): 5.1680 7.3818 10.6540
angles (deg): 104.49 97.04 108.95
Last column: nearest neighbours and their distance in Å.
Atoms (fractional coordinates):
P: 0.5022 0.9471 0.1803  4 O 1.54-1.56
P: 0.4978 0.0529 0.8197  4 O 1.54-1.56
P: 0.9956 0.5510 0.3197  4 O 1.55-1.56
P: 0.0044 0.4490 0.6803  4 O 1.55-1.56
O: 0.6314 0.9843 0.3279  1 P 1.55
O: 0.2573 0.5547 0.6258  1 P 1.55
O: 0.8154 0.6988 0.9765  1 H 0.99
O: 0.6882 0.7975 0.5255  1 H 0.99
O: 0.7554 0.0537 0.1268  1 P 1.55
O: 0.3745 0.7205 0.1018  1 P 1.54
O: 0.3686 0.0157 0.6721  1 P 1.55
O: 0.7174 0.9501 0.8300  1 P 1.56
O: 0.2165 0.4499 0.3305  1 P 1.56
O: 0.1846 0.3012 0.0235  1 H 0.99
O: 0.2446 0.9463 0.8732  1 P 1.55
O: 0.1342 0.4886 0.8283  1 P 1.55
O: 0.7427 0.4453 0.3742  1 P 1.55
O: 0.8764 0.2215 0.6023  1 P 1.55
O: 0.1236 0.7785 0.3977  1 P 1.55
O: 0.8658 0.5114 0.1717  1 P 1.55
O: 0.2826 0.0499 0.1700  1 P 1.56
O: 0.7835 0.5501 0.6695  1 P 1.56
O: 0.6255 0.2795 0.8982  1 P 1.54
O: 0.3118 0.2025 0.4745  1 H 0.99
H: 0.1704 0.1927 0.5298  1 O 0.99
H: 0.3309 0.3123 0.9707  1 O 0.99
H: 0.6691 0.6877 0.0293  1 O 0.99
H: 0.8296 0.8073 0.4702  1 O 0.99
Li: 0.5482 0.6233 0.8009  5 O 2.02-2.21
Li: 0.0487 0.1255 0.3020  5 O 1.98-2.19
Li: 0.4518 0.3767 0.1991  5 O 2.02-2.21
Li: 0.9513 0.8745 0.6980  5 O 1.98-2.19
Cr: 0.0000 0.5000 0.0000  6 O 2.03-2.04
Cr: 0.5000 0.5000 0.5000  6 O 2.00-2.05
V: 0.5000 0.0000 0.5000  6 O 2.02-2.08
V: 0.0000 0.0000 0.0000  6 O 2.01-2.05